Computed, not measured: an optimized crystal structure of Tm3Al12Os4 at the meta-GGA r2SCAN level of DFT.

Values from the calculation:
Crystal system: hexagonal
Total moment in μB per atom: 0.000
E_form in meV per atom: -677
ρ in g cm⁻³: 8.431

```
38
Lattice="8.7414 0.0000 0.0000 -4.3707 7.5703 0.0000 0.0000 0.0000 9.4735" Properties=species:S:1:pos:R:3 pbc="T T T"
Tm 0.0000 2.9328 2.3684
Tm -1.8309 6.1039 2.3684
Tm 2.5399 1.4664 7.1051
Tm 1.8309 6.1039 2.3684
Tm 6.2016 1.4664 7.1051
Tm 4.3707 4.6375 7.1051
Al 0.0000 0.0000 2.3684
Al 0.0000 0.0000 7.1051
Al -1.3846 4.2475 7.1051
Al 0.0000 2.4705 5.4563
Al 0.0000 2.4705 8.7540
Al -2.2312 6.3351 5.4563
Al -2.2312 6.3351 8.7540
Al 2.1395 1.2352 0.7195
Al 2.1395 1.2352 4.0172
Al 0.0000 5.0469 0.1391
Al 0.0000 5.0469 4.5976
Al 1.3846 4.2475 7.1051
Al 0.0000 6.6457 7.1051
Al 4.3707 0.9246 2.3684
Al 2.9861 3.3229 2.3684
Al 4.3707 2.5234 4.8759
Al 4.3707 2.5234 9.3343
Al 2.2312 6.3351 5.4563
Al 2.2312 6.3351 8.7540
Al 6.6019 1.2352 0.7195
Al 6.6019 1.2352 4.0172
Al 4.3707 5.0998 0.7195
Al 4.3707 5.0998 4.0172
Al 5.7553 3.3229 2.3684
Os 0.0000 0.0000 0.0000
Os 0.0000 0.0000 4.7367
Os -2.1854 3.7852 0.0000
Os -2.1854 3.7852 4.7367
Os 4.3707 0.0000 0.0000
Os 4.3707 0.0000 4.7367
Os 2.1854 3.7852 0.0000
Os 2.1854 3.7852 4.7367
```

Computed, not measured: an optimized crystal structure of Tm2AlOs at the meta-GGA r2SCAN level of DFT.

Values from the calculation:
Crystal system: cubic
Total moment in μB per atom: 0.000
E_form in meV per atom: -413
ρ in g cm⁻³: 11.418

```
16
Lattice="6.8604 0.0000 0.0000 0.0000 6.8604 0.0000 0.0000 0.0000 6.8604" Properties=species:S:1:pos:R:3 pbc="T T T"
Tm 1.7151 1.7151 1.7151
Tm 1.7151 1.7151 5.1453
Tm 1.7151 5.1453 1.7151
Tm 1.7151 5.1453 5.1453
Tm 5.1453 1.7151 1.7151
Tm 5.1453 1.7151 5.1453
Tm 5.1453 5.1453 1.7151
Tm 5.1453 5.1453 5.1453
Al 0.0000 0.0000 0.0000
Al 0.0000 3.4302 3.4302
Al 3.4302 0.0000 3.4302
Al 3.4302 3.4302 0.0000
Os 0.0000 0.0000 3.4302
Os 0.0000 3.4302 0.0000
Os 3.4302 0.0000 0.0000
Os 3.4302 3.4302 3.4302
```

Computed, not measured: an optimized crystal structure of Y3Al12Os4 at the meta-GGA r2SCAN level of DFT.

Values from the calculation:
Crystal system: hexagonal
Total moment in μB per atom: 0.000
E_form in meV per atom: -684
ρ in g cm⁻³: 7.051

```
38
Lattice="8.7834 0.0000 0.0000 -4.3917 7.6067 0.0000 0.0000 0.0000 9.5267" Properties=species:S:1:pos:R:3 pbc="T T T"
Y 0.0000 2.9374 2.3817
Y -1.8478 6.1380 2.3817
Y 2.5439 1.4687 7.1450
Y 1.8478 6.1380 2.3817
Y 6.2396 1.4687 7.1450
Y 4.3917 4.6693 7.1450
Al 0.0000 0.0000 2.3817
Al 0.0000 0.0000 7.1450
Al -1.3897 4.2688 7.1450
Al 0.0000 2.4822 5.4747
Al 0.0000 2.4822 8.8153
Al -2.2420 6.3656 5.4747
Al -2.2420 6.3656 8.8153
Al 2.1497 1.2411 0.7114
Al 2.1497 1.2411 4.0520
Al 0.0000 5.0711 0.1000
Al 0.0000 5.0711 4.6633
Al 1.3897 4.2688 7.1450
Al 0.0000 6.6758 7.1450
Al 4.3917 0.9309 2.3817
Al 3.0020 3.3379 2.3817
Al 4.3917 2.5356 4.8634
Al 4.3917 2.5356 9.4267
Al 2.2420 6.3656 5.4747
Al 2.2420 6.3656 8.8153
Al 6.6338 1.2411 0.7114
Al 6.6338 1.2411 4.0520
Al 4.3917 5.1245 0.7114
Al 4.3917 5.1245 4.0520
Al 5.7814 3.3379 2.3817
Os 0.0000 0.0000 0.0000
Os 0.0000 0.0000 4.7633
Os -2.1959 3.8033 0.0000
Os -2.1959 3.8033 4.7633
Os 4.3917 0.0000 0.0000
Os 4.3917 0.0000 4.7633
Os 2.1959 3.8033 0.0000
Os 2.1959 3.8033 4.7633
```

Computed, not measured: an optimized crystal structure of AlPPd4 at the meta-GGA r2SCAN level of DFT.

Values from the calculation:
Crystal system: monoclinic
Total moment in μB per atom: 0.000
E_form in meV per atom: -670
ρ in g cm⁻³: 9.319

```
18
Lattice="6.6320 0.0000 0.0000 0.0000 3.4130 0.0000 -0.0124 0.0000 11.4220" Properties=species:S:1:pos:R:3 pbc="T T T"
Al 0.0000 0.0000 0.0000
Al 0.0015 0.0000 7.6287
Al 3.3110 0.0000 5.7428
P 3.2821 0.0000 1.9275
P 3.3218 1.7065 9.5378
P 6.5966 1.7065 3.8254
Pd 0.8467 0.0000 5.2553
Pd 0.9097 0.0000 2.3461
Pd 1.6188 0.0000 9.5449
Pd 1.9974 1.7065 7.2558
Pd 2.0072 1.7065 0.4000
Pd 2.6392 1.7065 3.7802
Pd 4.1194 0.0000 11.1106
Pd 4.1677 0.0000 8.0890
Pd 4.8652 0.0000 3.7407
Pd 5.3122 1.7065 6.0572
Pd 5.3697 1.7065 1.5577
Pd 5.9125 1.7065 9.5654
```

Computed, not measured: an optimized crystal structure of PaAlTc2 at the meta-GGA r2SCAN level of DFT.

Values from the calculation:
Crystal system: cubic
Total moment in μB per atom: 0.000
E_form in meV per atom: -387
ρ in g cm⁻³: 11.070

```
16
Lattice="6.4825 0.0000 0.0000 0.0000 6.4825 0.0000 0.0000 0.0000 6.4825" Properties=species:S:1:pos:R:3 pbc="T T T"
Pa 0.0000 0.0000 0.0000
Pa 0.0000 3.2413 3.2413
Pa 3.2413 0.0000 3.2413
Pa 3.2413 3.2413 0.0000
Al 0.0000 0.0000 3.2413
Al 0.0000 3.2413 0.0000
Al 3.2413 0.0000 0.0000
Al 3.2413 3.2413 3.2413
Tc 1.6206 1.6206 1.6206
Tc 1.6206 1.6206 4.8619
Tc 1.6206 4.8619 1.6206
Tc 1.6206 4.8619 4.8619
Tc 4.8619 1.6206 1.6206
Tc 4.8619 1.6206 4.8619
Tc 4.8619 4.8619 1.6206
Tc 4.8619 4.8619 4.8619
```

Computed, not measured: an optimized crystal structure of Al2PbS4 at the meta-GGA r2SCAN level of DFT.

Values from the calculation:
Crystal system: orthorhombic
Total moment in μB per atom: 0.000
E_form in meV per atom: -1113
ρ in g cm⁻³: 3.952

```
14
Lattice="2.9665 -5.2408 0.0000 2.9665 5.2408 0.0000 0.0000 0.0000 10.5234" Properties=species:S:1:pos:R:3 pbc="T T T"
Al 2.9596 2.7348 0.0000
Al 2.9734 2.7348 5.2617
Al 2.9596 -2.7348 5.2617
Al 2.9734 -2.7348 0.0000
Pb 2.9665 0.0000 2.6308
Pb 2.9665 0.0000 7.8925
S 1.4833 2.6204 1.7082
S 1.4833 2.6204 8.8152
S 1.5827 0.9237 5.2617
S 1.5827 -0.9237 0.0000
S 1.4833 -2.6204 3.5535
S 1.4833 -2.6204 6.9699
S 4.3504 0.9237 0.0000
S 4.3504 -0.9237 5.2617
```

Computed, not measured: an optimized crystal structure of Zr5AlPb3 at the meta-GGA r2SCAN level of DFT.

Values from the calculation:
Crystal system: hexagonal
Total moment in μB per atom: 0.000
E_form in meV per atom: -455
ρ in g cm⁻³: 9.138

```
18
Lattice="8.8223 0.0000 0.0000 -4.4111 7.6403 0.0000 0.0000 0.0000 5.9561" Properties=species:S:1:pos:R:3 pbc="T T T"
Zr -1.1744 2.0342 1.4890
Zr -3.2367 5.6061 4.4671
Zr 2.3489 0.0000 1.4890
Zr 1.1744 2.0342 4.4671
Zr 0.0000 5.0935 0.0000
Zr 0.0000 5.0935 2.9781
Zr 4.4111 2.5468 0.0000
Zr 4.4111 2.5468 2.9781
Zr 6.4734 0.0000 4.4671
Zr 3.2367 5.6061 1.4890
Al 0.0000 0.0000 0.0000
Al 0.0000 0.0000 2.9781
Pb -1.7048 2.9527 4.4671
Pb -2.7064 4.6876 1.4890
Pb 3.4095 0.0000 4.4671
Pb 1.7048 2.9527 1.4890
Pb 5.4128 0.0000 1.4890
Pb 2.7064 4.6876 4.4671
```

Computed, not measured: an optimized crystal structure of AlPd2 at the meta-GGA r2SCAN level of DFT.

Values from the calculation:
Crystal system: orthorhombic
Total moment in μB per atom: 0.000
E_form in meV per atom: -829
ρ in g cm⁻³: 9.239

```
12
Lattice="5.4198 0.0000 0.0000 0.0000 4.0717 0.0000 0.0000 0.0000 7.8129" Properties=species:S:1:pos:R:3 pbc="T T T"
Al 1.0547 1.0179 0.8214
Al 1.6552 3.0538 4.7278
Al 3.7646 1.0179 3.0850
Al 4.3651 3.0538 6.9915
Pd 0.2306 1.0179 6.1584
Pd 0.8985 1.0179 3.3898
Pd 1.8114 3.0538 7.2962
Pd 2.4793 3.0538 2.2520
Pd 2.9405 1.0179 5.5609
Pd 3.6084 1.0179 0.5166
Pd 4.5212 3.0538 4.4231
Pd 5.1891 3.0538 1.6544
```

Computed, not measured: an optimized crystal structure of AlPd at the meta-GGA r2SCAN level of DFT.

Values from the calculation:
Crystal system: trigonal
Total moment in μB per atom: 0.000
E_form in meV per atom: -928
ρ in g cm⁻³: 7.727

```
26
Lattice="7.8175 4.5134 1.7604 -7.8175 4.5134 1.7604 0.0000 -9.0269 1.7604" Properties=species:S:1:pos:R:3 pbc="T T T"
Al 0.0000 0.0000 0.0000
Al -1.2105 -4.3225 1.7683
Al -1.9444 -1.5033 1.7623
Al -3.1382 3.2096 1.7683
Al -4.3487 -1.1129 3.5131
Al -0.3297 2.4355 1.7623
Al 2.2741 -0.9322 1.7623
Al -2.2741 0.9322 3.5190
Al 0.3297 -2.4355 3.5190
Al 4.3487 1.1129 1.7683
Al 3.1382 -3.2096 3.5131
Al 1.9444 1.5033 3.5190
Al 1.2105 4.3225 3.5131
Pd -2.2565 0.9220 0.8710
Pd 0.3298 -2.4152 0.8710
Pd -3.4643 -3.3842 2.6498
Pd -4.6629 1.3081 2.6315
Pd 1.9268 1.4932 0.8710
Pd 1.1987 -4.6923 2.6315
Pd 0.0000 0.0000 2.6407
Pd -1.1986 4.6923 2.6498
Pd -1.9268 -1.4932 4.4103
Pd 4.6629 -1.3081 2.6498
Pd 3.4643 3.3842 2.6315
Pd -0.3298 2.4152 4.4103
Pd 2.2565 -0.9220 4.4103
```

Computed, not measured: an optimized crystal structure of Al3Pd2 at the meta-GGA r2SCAN level of DFT.

Values from the calculation:
Crystal system: trigonal
Total moment in μB per atom: 0.000
E_form in meV per atom: -812
ρ in g cm⁻³: 6.138

```
5
Lattice="4.2122 0.0000 0.0000 -2.1061 3.6478 0.0000 0.0000 0.0000 5.1724" Properties=species:S:1:pos:R:3 pbc="T T T"
Al 0.0000 0.0000 0.0000
Al 0.0000 2.4319 3.3358
Al 2.1061 1.2159 1.8366
Pd 0.0000 2.4319 0.8114
Pd 2.1061 1.2159 4.3610
```

Computed, not measured: an optimized crystal structure of AlPd at the meta-GGA r2SCAN level of DFT.

Values from the calculation:
Crystal system: cubic
Total moment in μB per atom: 0.000
E_form in meV per atom: -898
ρ in g cm⁻³: 7.803

```
2
Lattice="3.0505 0.0000 0.0000 0.0000 3.0505 0.0000 0.0000 0.0000 3.0505" Properties=species:S:1:pos:R:3 pbc="T T T"
Al 0.0000 0.0000 0.0000
Pd 1.5253 1.5253 1.5253
```

Computed, not measured: an optimized crystal structure of AlPd at the meta-GGA r2SCAN level of DFT.

Values from the calculation:
Crystal system: cubic
Total moment in μB per atom: 0.000
E_form in meV per atom: -936
ρ in g cm⁻³: 7.691

```
8
Lattice="4.8658 0.0000 0.0000 0.0000 4.8658 0.0000 0.0000 0.0000 4.8658" Properties=species:S:1:pos:R:3 pbc="T T T"
Al 0.7569 1.6760 3.1898
Al 1.6760 3.1898 0.7569
Al 3.1898 0.7569 1.6760
Al 4.1089 4.1089 4.1089
Pd 0.7213 0.7213 0.7213
Pd 1.7116 4.1445 3.1542
Pd 3.1542 1.7116 4.1445
Pd 4.1445 3.1542 1.7116
```

Which of these has the highest ρ? Tm2AlOs

Which formula does entry 6 have? Al2PbS4